1.
A plane-wave DFT calculation with PBE with a Hubbard U was carried out for an optimized crystal structure of LiMn28O56.

- total DFT energy (no corrections) (eV for the cell shown) = -601.354

Lattice parameters (Å, degrees): 10.100 10.100 10.100 99.59 99.59 99.59
Element x y z (fractional)
Li1 0.000 0.000 0.000
Mn1 0.018 0.659 0.946
Mn2 0.089 0.305 0.233
Mn3 0.090 0.802 0.731
Mn4 0.090 0.803 0.233
Mn5 0.161 0.946 0.518
Mn6 0.232 0.589 0.803
Mn7 0.233 0.089 0.305
Mn8 0.233 0.090 0.803
Mn9 0.305 0.233 0.089
Mn10 0.375 0.375 0.375
Mn11 0.375 0.375 0.875
Mn12 0.375 0.875 0.375
Mn13 0.446 0.518 0.660
Mn14 0.518 0.161 0.946
Mn15 0.518 0.660 0.446
Mn16 0.518 0.660 0.946
Mn17 0.589 0.803 0.232
Mn18 0.659 0.946 0.018
Mn19 0.660 0.446 0.518
Mn20 0.660 0.946 0.518
Mn21 0.731 0.090 0.802
Mn22 0.802 0.731 0.090
Mn23 0.803 0.232 0.589
Mn24 0.803 0.233 0.090
Mn25 0.875 0.375 0.375
Mn26 0.946 0.018 0.659
Mn27 0.946 0.518 0.161
Mn28 0.946 0.518 0.660
O1 0.039 0.468 0.325
O2 0.056 0.501 0.833
O3 0.059 0.980 0.823
O4 0.073 0.976 0.341
O5 0.106 0.631 0.123
O6 0.119 0.627 0.643
O7 0.123 0.106 0.631
O8 0.138 0.138 0.138
O9 0.181 0.753 0.896
O10 0.198 0.786 0.404
O11 0.203 0.266 0.392
O12 0.215 0.261 0.913
O13 0.249 0.917 0.694
O14 0.261 0.913 0.215
O15 0.266 0.392 0.203
O16 0.282 0.425 0.711
O17 0.325 0.039 0.468
O18 0.341 0.073 0.976
O19 0.346 0.552 0.963
O20 0.358 0.547 0.484
O21 0.392 0.203 0.266
O22 0.404 0.198 0.786
O23 0.409 0.678 0.774
O24 0.425 0.711 0.282
O25 0.468 0.325 0.039
O26 0.484 0.358 0.547
O27 0.488 0.837 0.535
O28 0.501 0.833 0.056
O29 0.535 0.488 0.837
O30 0.547 0.484 0.358
O31 0.552 0.963 0.346
O32 0.568 0.997 0.854
O33 0.610 0.610 0.610
O34 0.627 0.643 0.119
O35 0.631 0.123 0.106
O36 0.643 0.119 0.627
O37 0.678 0.774 0.409
O38 0.690 0.770 0.930
O39 0.694 0.249 0.917
O40 0.711 0.282 0.425
O41 0.753 0.896 0.181
O42 0.770 0.930 0.690
O43 0.774 0.409 0.678
O44 0.786 0.404 0.198
O45 0.823 0.059 0.980
O46 0.833 0.056 0.501
O47 0.837 0.535 0.488
O48 0.854 0.568 0.997
O49 0.896 0.181 0.753
O50 0.913 0.215 0.261
O51 0.917 0.694 0.249
O52 0.930 0.690 0.770
O53 0.963 0.346 0.552
O54 0.976 0.341 0.073
O55 0.980 0.823 0.059
O56 0.997 0.854 0.568



2.
A plane-wave DFT calculation with PBE with a Hubbard U was carried out for an optimized crystal structure of MgMn4O8.

- offset from the most stable computed form (meV per atom) = 35.4

Lattice parameters (Å, degrees): 5.740 5.740 6.375 122.70 122.70 59.90
Element x y z (fractional)
Mg1 0.000 0.000 0.000
Mn1 0.000 0.500 0.500
Mn2 0.315 0.315 0.066
Mn3 0.500 0.000 0.500
Mn4 0.685 0.685 0.934
O1 0.030 0.563 0.854
O2 0.092 0.092 0.377
O3 0.417 0.417 0.643
O4 0.437 0.970 0.146
O5 0.563 0.030 0.854
O6 0.583 0.583 0.357
O7 0.908 0.908 0.623
O8 0.970 0.437 0.146



3.
A plane-wave DFT calculation with PBE with a Hubbard U was carried out for an optimized crystal structure of Li3FeP2O8.

- offset from the most stable computed form (meV per atom) = 67.8

Lattice parameters (Å, degrees): 8.829 8.832 10.067 74.56 111.36 73.70
Element x y z (fractional)
O1 0.293 0.961 0.583
O2 0.757 0.673 0.334
O3 0.049 0.191 0.843
O4 0.257 0.173 0.334
O5 0.489 0.633 0.346
O6 0.743 0.827 0.666
O7 0.243 0.327 0.666
O8 0.271 0.608 0.654
O9 0.665 0.378 0.037
O10 0.707 0.039 0.417
O11 0.165 0.878 0.037
O12 0.729 0.392 0.346
O13 0.207 0.539 0.417
O14 0.139 0.458 0.931
O15 0.771 0.108 0.654
O16 0.716 0.044 0.157
O17 0.793 0.461 0.583
O18 0.216 0.544 0.157
O19 0.011 0.867 0.654
O20 0.451 0.309 0.157
O21 0.549 0.691 0.843
O22 0.335 0.622 0.963
O23 0.639 0.958 0.931
O24 0.511 0.367 0.654
O25 0.989 0.133 0.346
O26 0.284 0.956 0.843
O27 0.951 0.809 0.157
O28 0.784 0.456 0.843
O29 0.229 0.892 0.346
O30 0.835 0.122 0.963
O31 0.361 0.042 0.069
O32 0.861 0.542 0.069
Li1 0.897 0.803 0.345
Li2 0.442 0.208 0.985
Li3 0.558 0.792 0.015
Li4 0.942 0.708 0.985
Li5 0.058 0.292 0.015
Li6 0.481 0.003 0.726
Li7 0.519 0.997 0.274
Li8 0.397 0.303 0.345
Li9 0.019 0.497 0.274
Li10 0.103 0.197 0.655
Li11 0.981 0.503 0.726
Li12 0.603 0.697 0.655
P1 0.809 0.958 0.601
P2 0.309 0.458 0.601
P3 0.691 0.542 0.399
P4 0.785 0.989 0.046
P5 0.191 0.042 0.399
P6 0.215 0.011 0.954
P7 0.285 0.489 0.046
P8 0.715 0.511 0.954
Fe1 0.229 0.728 0.251
Fe2 0.729 0.228 0.251
Fe3 0.271 0.772 0.749
Fe4 0.771 0.273 0.749



Number 1: size of the total moment 85.00 μB per formula unit. Number 2: size of the total moment 14.00 μB per formula unit. Number 3: size of the total moment 0.00 μB per formula unit.